[1]
Na2Sn3Au | meta-GGA r2SCAN | optimized geometry

a b c (Å): 9.674 9.674 7.550
angles (deg): 90.00 90.00 120.00
Element x y z (fractional)
Na: 0.533 0.065 0.250
Na: 0.065 0.533 0.750
Na: 0.467 0.533 0.750
Na: 0.533 0.467 0.250
Na: 0.467 0.935 0.750
Na: 0.935 0.467 0.250
Na: 0.000 0.000 0.750
Na: 0.000 0.000 0.250
Sn: 0.171 0.829 0.053
Sn: 0.829 0.658 0.553
Sn: 0.342 0.171 0.553
Sn: 0.829 0.171 0.947
Sn: 0.829 0.658 0.947
Sn: 0.829 0.171 0.553
Sn: 0.342 0.171 0.947
Sn: 0.658 0.829 0.053
Sn: 0.658 0.829 0.447
Sn: 0.171 0.342 0.447
Sn: 0.171 0.829 0.447
Sn: 0.171 0.342 0.053
Au: 0.333 0.667 0.463
Au: 0.667 0.333 0.537
Au: 0.667 0.333 0.963
Au: 0.333 0.667 0.037

- space group = P6_3/mmc, No. 194
- crystal system = hexagonal
- DFT formation energy (eV per atom) = -0.325

[2]
NaSnAu | meta-GGA r2SCAN | optimized geometry

a b c (Å): 4.584 7.529 8.102
angles (deg): 90.00 90.00 90.00
Element x y z (fractional)
Na: 0.500 0.016 0.172
Na: 0.500 0.516 0.328
Na: 0.000 0.484 0.672
Na: 0.000 0.984 0.828
Sn: 0.500 0.662 0.936
Sn: 0.500 0.162 0.564
Sn: 0.000 0.838 0.436
Sn: 0.000 0.338 0.064
Au: 0.000 0.706 0.123
Au: 0.500 0.294 0.877
Au: 0.500 0.794 0.623
Au: 0.000 0.206 0.377

- space group = Pnma, No. 62
- crystal system = orthorhombic
- DFT formation energy (eV per atom) = -0.399

[3]
NaTeAu | meta-GGA r2SCAN | optimized geometry

a b c (Å): 4.657 4.657 8.493
angles (deg): 90.00 90.00 120.00
Element x y z (fractional)
Na: 0.000 0.000 0.000
Na: 0.000 0.000 0.500
Te: 0.333 0.667 0.750
Te: 0.667 0.333 0.250
Au: 0.333 0.667 0.250
Au: 0.667 0.333 0.750

- space group = P6_3/mmc, No. 194
- crystal system = hexagonal
- DFT formation energy (eV per atom) = -0.621

[4]
Nb3Au | meta-GGA r2SCAN | optimized geometry

a b c (Å): 5.241 5.241 5.241
angles (deg): 90.00 90.00 90.00
Element x y z (fractional)
Nb: 0.500 0.250 0.000
Nb: 0.500 0.750 0.000
Nb: 0.250 0.000 0.500
Nb: 0.750 0.000 0.500
Nb: 0.000 0.500 0.250
Nb: 0.000 0.500 0.750
Au: 0.500 0.500 0.500
Au: 0.000 0.000 0.000

- space group = Pm-3n, No. 223
- crystal system = cubic
- energy above the most stable polymorph in this dataset (meV per atom) = 0
- DFT formation energy (eV per atom) = -0.113

[5]
Nb3Au | meta-GGA r2SCAN | optimized geometry

a b c (Å): 2.809 2.809 9.352
angles (deg): 90.00 90.00 103.50
Element x y z (fractional)
Nb: 0.500 0.500 0.752
Nb: 0.000 0.000 0.500
Nb: 0.500 0.500 0.248
Au: 0.000 0.000 0.000

- space group = Cmmm, No. 65
- crystal system = orthorhombic
- energy above the most stable polymorph in this dataset (meV per atom) = 10
- DFT formation energy (eV per atom) = -0.102

[6]
Nb3Au2 | meta-GGA r2SCAN | optimized geometry

a b c (Å): 3.416 3.416 8.031
angles (deg): 102.25 102.25 90.00
Element x y z (fractional)
Nb: 0.000 0.000 0.000
Nb: 0.399 0.399 0.799
Nb: 0.601 0.601 0.201
Au: 0.200 0.200 0.400
Au: 0.800 0.800 0.600

- space group = I4/mmm, No. 139
- crystal system = tetragonal
- DFT formation energy (eV per atom) = -0.186